No. 1
Computed, not measured: a relaxed LiVF5 crystal at the PBE+U level of DFT.

abc: 5.807 9.931 7.321
angles: 90.00 90.23 90.00
Sites, in units of the cell vectors:
Li (0.002, 0.000, 0.092)
Li (0.495, 0.340, 0.447)
Li (0.505, 0.840, 0.553)
Li (0.998, 0.500, 0.908)
V (0.015, 0.721, 0.376)
V (0.485, 0.325, 0.918)
V (0.515, 0.825, 0.082)
V (0.985, 0.221, 0.624)
F (0.012, 0.543, 0.367)
F (0.024, 0.902, 0.318)
F (0.214, 0.215, 0.831)
F (0.225, 0.745, 0.566)
F (0.226, 0.238, 0.458)
F (0.273, 0.445, 0.018)
F (0.273, 0.930, 0.995)
F (0.290, 0.706, 0.208)
F (0.471, 0.413, 0.694)
F (0.494, 0.215, 0.110)
F (0.506, 0.715, 0.890)
F (0.529, 0.913, 0.306)
F (0.710, 0.206, 0.792)
F (0.727, 0.430, 0.005)
F (0.727, 0.945, 0.982)
F (0.774, 0.738, 0.542)
F (0.775, 0.245, 0.434)
F (0.786, 0.715, 0.169)
F (0.976, 0.402, 0.682)
F (0.988, 0.043, 0.633)

Calculated values
The calculation puts the relative energy among the computed polymorphs at 44.1 meV/atom. The space group is No. 4.



No. 2
Computed, not measured: a relaxed LiVF5 crystal at the PBE+U level of DFT.

abc: 5.226 10.057 6.646
angles: 90.00 106.52 90.00
Sites, in units of the cell vectors:
Li (0.055, 0.243, 0.384)
Li (0.055, 0.257, 0.884)
Li (0.945, 0.743, 0.116)
Li (0.945, 0.757, 0.616)
V (0.446, 0.031, 0.744)
V (0.446, 0.469, 0.244)
V (0.554, 0.531, 0.756)
V (0.554, 0.969, 0.256)
F (0.157, 0.584, 0.195)
F (0.157, 0.916, 0.695)
F (0.217, 0.176, 0.675)
F (0.217, 0.324, 0.175)
F (0.248, 0.635, 0.689)
F (0.248, 0.865, 0.189)
F (0.372, 0.089, 0.021)
F (0.372, 0.411, 0.521)
F (0.397, 0.092, 0.403)
F (0.397, 0.408, 0.903)
F (0.603, 0.592, 0.097)
F (0.603, 0.908, 0.597)
F (0.628, 0.589, 0.479)
F (0.628, 0.911, 0.979)
F (0.752, 0.135, 0.811)
F (0.752, 0.365, 0.311)
F (0.783, 0.676, 0.825)
F (0.783, 0.824, 0.325)
F (0.843, 0.084, 0.305)
F (0.843, 0.416, 0.805)

Calculated values
The calculation puts the relative energy among the computed polymorphs at 61.5 meV/atom. The space group is No. 14.



No. 3
Computed, not measured: a relaxed LiVF6 crystal at the PBE+U level of DFT.

abc: 9.694 8.694 5.002
angles: 90.00 90.00 90.00
Sites, in units of the cell vectors:
Li (0.119, 0.124, 0.000)
Li (0.381, 0.624, 0.500)
Li (0.619, 0.376, 0.000)
Li (0.881, 0.876, 0.500)
V (0.129, 0.753, 0.985)
V (0.371, 0.253, 0.485)
V (0.629, 0.747, 0.985)
V (0.871, 0.247, 0.485)
F (0.015, 0.757, 0.277)
F (0.015, 0.895, 0.815)
F (0.032, 0.603, 0.841)
F (0.215, 0.926, 0.115)
F (0.246, 0.629, 0.164)
F (0.246, 0.755, 0.701)
F (0.254, 0.129, 0.664)
F (0.254, 0.255, 0.201)
F (0.285, 0.426, 0.615)
F (0.468, 0.103, 0.341)
F (0.485, 0.257, 0.777)
F (0.485, 0.395, 0.315)
F (0.515, 0.605, 0.815)
F (0.515, 0.743, 0.277)
F (0.532, 0.897, 0.841)
F (0.715, 0.574, 0.115)
F (0.746, 0.745, 0.701)
F (0.746, 0.871, 0.164)
F (0.754, 0.245, 0.201)
F (0.754, 0.371, 0.664)
F (0.785, 0.074, 0.615)
F (0.968, 0.397, 0.341)
F (0.985, 0.105, 0.315)
F (0.985, 0.243, 0.777)

Calculated values
The space group is No. 33.



No. 4
Computed, not measured: a relaxed Li4VF6 crystal at the PBE+U level of DFT.

abc: 5.367 8.816 5.161
angles: 90.00 109.74 90.00
Sites, in units of the cell vectors:
Li (0.039, 0.167, 0.349)
Li (0.039, 0.333, 0.849)
Li (0.449, 0.663, 0.961)
Li (0.449, 0.837, 0.461)
Li (0.551, 0.163, 0.539)
Li (0.551, 0.337, 0.039)
Li (0.961, 0.667, 0.151)
Li (0.961, 0.833, 0.651)
V (0.500, 0.000, 0.000)
V (0.500, 0.500, 0.500)
F (0.235, 0.674, 0.535)
F (0.235, 0.826, 0.035)
F (0.273, 0.007, 0.577)
F (0.273, 0.493, 0.077)
F (0.303, 0.182, 0.126)
F (0.303, 0.318, 0.626)
F (0.697, 0.682, 0.374)
F (0.697, 0.818, 0.874)
F (0.727, 0.507, 0.923)
F (0.727, 0.993, 0.423)
F (0.765, 0.174, 0.965)
F (0.765, 0.326, 0.465)

Calculated values
The calculation puts the relative energy among the computed polymorphs at 0.0 meV/atom. The space group is No. 14.



No. 5
Computed, not measured: a relaxed LiVF5 crystal at the PBE+U level of DFT.

abc: 5.277 6.020 12.779
angles: 90.00 90.00 90.00
Sites, in units of the cell vectors:
Li (0.011, 0.134, 0.145)
Li (0.489, 0.866, 0.645)
Li (0.511, 0.366, 0.855)
Li (0.989, 0.634, 0.355)
V (0.175, 0.379, 0.590)
V (0.325, 0.621, 0.090)
V (0.675, 0.121, 0.410)
V (0.825, 0.879, 0.910)
F (0.034, 0.665, 0.991)
F (0.080, 0.605, 0.498)
F (0.094, 0.919, 0.828)
F (0.129, 0.424, 0.169)
F (0.181, 0.859, 0.159)
F (0.319, 0.141, 0.659)
F (0.371, 0.576, 0.669)
F (0.406, 0.081, 0.328)
F (0.420, 0.395, 0.998)
F (0.466, 0.335, 0.491)
F (0.534, 0.835, 0.009)
F (0.580, 0.895, 0.502)
F (0.594, 0.581, 0.172)
F (0.629, 0.076, 0.831)
F (0.681, 0.641, 0.841)
F (0.819, 0.359, 0.341)
F (0.871, 0.924, 0.331)
F (0.906, 0.419, 0.672)
F (0.920, 0.105, 0.002)
F (0.966, 0.165, 0.509)

Calculated values
The calculation puts the relative energy among the computed polymorphs at 37.0 meV/atom. The space group is No. 19.



No. 6
Computed, not measured: a relaxed LiVF5 crystal at the PBE+U level of DFT.

abc: 5.201 9.802 7.640
angles: 90.00 109.91 90.00
Sites, in units of the cell vectors:
Li (0.021, 0.018, 0.274)
Li (0.021, 0.482, 0.774)
Li (0.979, 0.518, 0.226)
Li (0.979, 0.982, 0.726)
V (0.427, 0.246, 0.108)
V (0.427, 0.254, 0.608)
V (0.573, 0.746, 0.392)
V (0.573, 0.754, 0.892)
F (0.146, 0.126, 0.082)
F (0.146, 0.374, 0.582)
F (0.175, 0.113, 0.512)
F (0.175, 0.387, 0.012)
F (0.289, 0.635, 0.842)
F (0.289, 0.865, 0.342)
F (0.332, 0.600, 0.304)
F (0.332, 0.900, 0.804)
F (0.419, 0.211, 0.858)
F (0.419, 0.289, 0.358)
F (0.581, 0.711, 0.642)
F (0.581, 0.789, 0.142)
F (0.668, 0.100, 0.196)
F (0.668, 0.400, 0.696)
F (0.711, 0.135, 0.658)
F (0.711, 0.365, 0.158)
F (0.825, 0.613, 0.988)
F (0.825, 0.887, 0.488)
F (0.854, 0.626, 0.418)
F (0.854, 0.874, 0.918)

Calculated values
The calculation puts the relative energy among the computed polymorphs at 7.6 meV/atom. The space group is No. 14.



No. 7
Computed, not measured: a relaxed LiVF6 crystal at the PBE+U level of DFT.

abc: 4.960 4.960 4.635
angles: 90.00 90.00 120.00
Sites, in units of the cell vectors:
Li (0.000, 0.000, 0.000)
V (0.333, 0.667, 0.500)
F (0.044, 0.361, 0.270)
F (0.044, 0.684, 0.730)
F (0.316, 0.361, 0.730)
F (0.316, 0.956, 0.270)
F (0.639, 0.684, 0.270)
F (0.639, 0.956, 0.730)

Calculated values
The space group is No. 149. The largest piezoelectric modulus comes out at 0.25 C/m2.



No. 8
Computed, not measured: a relaxed Li3VF6 crystal at the PBE+U level of DFT.

abc: 9.790 8.567 5.124
angles: 90.00 90.00 90.00
Sites, in units of the cell vectors:
Li (0.104, 0.049, 0.000)
Li (0.126, 0.647, 0.512)
Li (0.146, 0.452, 0.007)
Li (0.354, 0.952, 0.507)
Li (0.374, 0.147, 0.012)
Li (0.396, 0.549, 0.500)
Li (0.604, 0.451, 0.000)
Li (0.626, 0.853, 0.512)
Li (0.646, 0.048, 0.007)
Li (0.854, 0.548, 0.507)
Li (0.874, 0.353, 0.012)
Li (0.896, 0.951, 0.500)
V (0.128, 0.260, 0.504)
V (0.372, 0.760, 0.004)
V (0.628, 0.240, 0.504)
V (0.872, 0.740, 0.004)
F (0.009, 0.415, 0.324)
F (0.021, 0.253, 0.834)
F (0.024, 0.091, 0.347)
F (0.227, 0.441, 0.651)
F (0.240, 0.270, 0.182)
F (0.249, 0.112, 0.689)
F (0.251, 0.612, 0.189)
F (0.260, 0.770, 0.682)
F (0.273, 0.941, 0.151)
F (0.476, 0.591, 0.847)
F (0.479, 0.753, 0.334)
F (0.491, 0.915, 0.824)
F (0.509, 0.085, 0.324)
F (0.521, 0.247, 0.834)
F (0.524, 0.409, 0.347)
F (0.727, 0.059, 0.651)
F (0.740, 0.230, 0.182)
F (0.749, 0.388, 0.689)
F (0.751, 0.888, 0.189)
F (0.760, 0.730, 0.682)
F (0.773, 0.559, 0.151)
F (0.976, 0.909, 0.847)
F (0.979, 0.747, 0.334)
F (0.991, 0.585, 0.824)

Calculated values
The calculation puts the relative energy among the computed polymorphs at 7.1 meV/atom. The space group is No. 33.



No. 9
Computed, not measured: a relaxed Li2VF7 crystal at the PBE+U level of DFT.

abc: 6.973 7.048 10.198
angles: 90.00 90.00 90.00
Sites, in units of the cell vectors:
Li (0.131, 0.250, 0.249)
Li (0.169, 0.750, 0.501)
Li (0.331, 0.250, 0.001)
Li (0.369, 0.750, 0.749)
Li (0.631, 0.250, 0.251)
Li (0.669, 0.750, 0.999)
Li (0.831, 0.250, 0.499)
Li (0.869, 0.750, 0.751)
V (0.195, 0.750, 0.059)
V (0.305, 0.250, 0.559)
V (0.695, 0.750, 0.441)
V (0.805, 0.250, 0.941)
F (0.046, 0.250, 0.014)
F (0.057, 0.250, 0.614)
F (0.117, 0.750, 0.677)
F (0.129, 0.570, 0.173)
F (0.129, 0.930, 0.173)
F (0.236, 0.068, 0.439)
F (0.236, 0.432, 0.439)
F (0.264, 0.568, 0.939)
F (0.264, 0.932, 0.939)
F (0.371, 0.070, 0.673)
F (0.371, 0.430, 0.673)
F (0.383, 0.250, 0.177)
F (0.443, 0.750, 0.114)
F (0.454, 0.750, 0.514)
F (0.546, 0.250, 0.486)
F (0.557, 0.250, 0.886)
F (0.617, 0.750, 0.823)
F (0.629, 0.570, 0.327)
F (0.629, 0.930, 0.327)
F (0.736, 0.068, 0.061)
F (0.736, 0.432, 0.061)
F (0.764, 0.568, 0.561)
F (0.764, 0.932, 0.561)
F (0.871, 0.070, 0.827)
F (0.871, 0.430, 0.827)
F (0.883, 0.250, 0.323)
F (0.943, 0.750, 0.386)
F (0.954, 0.750, 0.986)

Calculated values
The calculation puts the relative energy among the computed polymorphs at 0.0 meV/atom. The space group is No. 62.



No. 10
Computed, not measured: a relaxed LiVF5 crystal at the PBE+U level of DFT.

abc: 5.477 5.662 7.382
angles: 104.77 99.49 110.17
Sites, in units of the cell vectors:
Li (0.174, 0.301, 0.232)
Li (0.826, 0.699, 0.768)
V (0.500, 0.000, 0.000)
V (0.500, 0.000, 0.500)
F (0.132, 0.808, 0.974)
F (0.229, 0.661, 0.379)
F (0.265, 0.156, 0.421)
F (0.386, 0.022, 0.738)
F (0.476, 0.316, 0.119)
F (0.524, 0.684, 0.881)
F (0.614, 0.978, 0.262)
F (0.735, 0.844, 0.579)
F (0.771, 0.339, 0.621)
F (0.868, 0.192, 0.026)

Calculated values
The calculation puts the relative energy among the computed polymorphs at 8.6 meV/atom. The space group is No. 2.



No. 11
Computed, not measured: a relaxed LiVF6 crystal at the PBE+U level of DFT.

abc: 9.809 5.442 4.842
angles: 90.00 108.74 90.00
Sites, in units of the cell vectors:
Li (0.000, 0.000, 0.000)
Li (0.500, 0.500, 0.000)
V (0.373, 0.000, 0.386)
V (0.873, 0.500, 0.386)
F (0.037, 0.500, 0.681)
F (0.202, 0.000, 0.077)
F (0.304, 0.238, 0.555)
F (0.304, 0.762, 0.555)
F (0.444, 0.233, 0.192)
F (0.444, 0.767, 0.192)
F (0.537, 0.000, 0.681)
F (0.702, 0.500, 0.077)
F (0.804, 0.262, 0.555)
F (0.804, 0.738, 0.555)
F (0.944, 0.267, 0.192)
F (0.944, 0.733, 0.192)

Calculated values
The space group is No. 8. The largest piezoelectric modulus comes out at 3.84 C/m2.



No. 12
Computed, not measured: a relaxed Li3VF6 crystal at the PBE+U level of DFT.

abc: 5.550 5.550 10.094
angles: 96.07 96.07 58.53
Sites, in units of the cell vectors:
Li (0.124, 0.876, 0.500)
Li (0.225, 0.586, 0.231)
Li (0.481, 0.912, 0.103)
Li (0.586, 0.225, 0.731)
Li (0.876, 0.124, 0.000)
Li (0.912, 0.481, 0.603)
V (0.549, 0.953, 0.403)
V (0.953, 0.549, 0.903)
F (0.026, 0.742, 0.066)
F (0.166, 0.194, 0.483)
F (0.194, 0.166, 0.983)
F (0.205, 0.485, 0.763)
F (0.415, 0.787, 0.256)
F (0.485, 0.205, 0.263)
F (0.547, 0.669, 0.506)
F (0.669, 0.547, 0.006)
F (0.730, 0.958, 0.859)
F (0.742, 0.026, 0.566)
F (0.787, 0.415, 0.756)
F (0.958, 0.730, 0.359)

Calculated values
The calculation puts the relative energy among the computed polymorphs at 71.3 meV/atom. The space group is No. 9.



Number 1: E -5.416 eV/atom, energy relative to the elements -3051 meV/atom. Number 2: E -5.399 eV/atom, energy relative to the elements -3034 meV/atom. Number 3: E -5.195 eV/atom, energy relative to the elements -2944 meV/atom. Number 4: E -5.221 eV/atom, energy relative to the elements -3063 meV/atom. Number 5: E -5.423 eV/atom, energy relative to the elements -3058 meV/atom. Number 6: E -5.453 eV/atom, energy relative to the elements -3088 meV/atom. Number 7: E -5.194 eV/atom, energy relative to the elements -2943 meV/atom. Number 8: E -5.387 eV/atom, energy relative to the elements -3204 meV/atom. Number 9: E -5.082 eV/atom, energy relative to the elements -2945 meV/atom. Number 10: E -5.452 eV/atom, energy relative to the elements -3087 meV/atom. Number 11: E -5.171 eV/atom, energy relative to the elements -2920 meV/atom. Number 12: E -5.322 eV/atom, energy relative to the elements -3140 meV/atom.